[1]
A geometry-optimized MgO structure, computed with PBE-GGA.

Values from the calculation:
E_form = -278.6 kJ per mole of atoms
E (MP2020) = -6.16 eV per atom

Cell: 15.1341 8.7250 5.6796 Å, 90.00 90.26 90.00°
Closest atoms and distances in Å follow each position.
Space group C2/c (No. 15)
Symmetry-distinct sites (fractional):
Mg  0.0663  0.1041  0.4246 x8  4 O 1.95-2.03
Mg  0.1626  0.2214  0.9228 x8  4 O 1.95-2.08
Mg  0.2214  0.3980  0.4232 x8  4 O 1.95-2.09
O  0.0672  0.1078  0.0707 x8  4 Mg 1.95-2.03
O  0.1598  0.2235  0.5729 x8  4 Mg 1.95-2.09
O  0.2196  0.4011  0.0734 x8  4 Mg 1.95-2.08

[2]
A geometry-optimized MgTeI6O6 structure, computed with PBE-GGA.

Values from the calculation:
E_form = -45.4 kJ per mole of atoms
E (MP2020) = -3.58 eV per atom

Cell: 11.2365 11.2545 11.2630 Å, 89.97 89.98 89.87°
Closest atoms and distances in Å follow each position.
Space group P1 (No. 1)
Symmetry-distinct sites (fractional):
Mg  0.0000  0.0000  0.0000 x1  6 O 2.12-2.13
Mg  0.9999  0.5000  0.4992 x1  6 O 2.11-2.14
Mg  0.5000  0.9997  0.4997 x1  6 O 2.12-2.13
Mg  0.4999  0.5000  0.0001 x1  6 O 2.11-2.14
Te  0.0004  0.4999  0.9995 x1  6 I 3.30-3.33
Te  0.9995  0.9993  0.4979 x1  6 I 3.29-3.36
Te  0.4993  0.5004  0.5006 x1  6 I 3.29-3.33
Te  0.5006  0.0002  0.0011 x1  6 I 3.29-3.35
I  0.0206  0.7307  0.8150 x1  1 O 1.91
I  0.0229  0.7726  0.3141 x1  1 O 1.91
I  0.1830  0.5230  0.2276 x1  1 O 1.91
I  0.1866  0.9797  0.7297 x1  1 O 1.91
I  0.2263  0.1822  0.4763 x1  1 O 1.91
I  0.2300  0.3151  0.9794 x1  1 O 1.91
I  0.2704  0.6815  0.4796 x1  1 O 1.91
I  0.2704  0.8158  0.9822 x1  1 O 1.91
I  0.3151  0.4816  0.7314 x1  1 O 1.91
I  0.3169  0.0218  0.2292 x1  1 O 1.91
I  0.4797  0.2294  0.8143 x1  1 O 1.91
I  0.4795  0.2705  0.3170 x1  1 O 1.91
I  0.5209  0.7304  0.6846 x1  1 O 1.91
I  0.5248  0.7736  0.1845 x1  1 O 1.91
I  0.6817  0.5203  0.2699 x1  1 O 1.91
I  0.6862  0.9800  0.7695 x1  1 O 1.91
I  0.7274  0.1830  0.0221 x1  1 O 1.91
I  0.7305  0.3164  0.5201 x1  1 O 1.91
I  0.7710  0.6816  0.0197 x1  1 O 1.91
I  0.7708  0.8156  0.5185 x1  1 O 1.91
I  0.8152  0.4808  0.7696 x1  1 O 1.91
I  0.8161  0.0233  0.2710 x1  1 O 1.91
I  0.9790  0.2715  0.1835 x1  1 O 1.91
I  0.9808  0.2302  0.6860 x1  1 O 1.91
O  0.0596  0.1432  0.1072 x1  1 I 1.91, 1 Mg 2.12
O  0.0617  0.3578  0.6088 x1  1 I 1.91, 1 Mg 2.14
O  0.1076  0.4415  0.3555 x1  1 I 1.91, 1 Mg 2.12
O  0.1090  0.0584  0.8584 x1  1 I 1.91, 1 Mg 2.12
O  0.1414  0.6071  0.5604 x1  1 I 1.91, 1 Mg 2.11
O  0.1411  0.8911  0.0627 x1  1 I 1.91, 1 Mg 2.12
O  0.3556  0.1084  0.5575 x1  1 I 1.91, 1 Mg 2.13
O  0.3582  0.3911  0.0602 x1  1 I 1.91, 1 Mg 2.12
O  0.3919  0.9401  0.3573 x1  1 I 1.91, 1 Mg 2.12
O  0.3927  0.5614  0.8591 x1  1 I 1.91, 1 Mg 2.11
O  0.4392  0.8574  0.6071 x1  1 I 1.91, 1 Mg 2.12
O  0.4436  0.6453  0.1096 x1  1 I 1.91
O  0.5607  0.1423  0.3930 x1  1 I 1.91, 1 Mg 2.12
O  0.5608  0.3571  0.8909 x1  1 I 1.91, 1 Mg 2.14
O  0.6065  0.4386  0.1420 x1  1 I 1.91, 1 Mg 2.11
O  0.6080  0.0594  0.6415 x1  1 I 1.91, 1 Mg 2.12
O  0.6415  0.6078  0.9391 x1  1 I 1.91, 1 Mg 2.12
O  0.6419  0.8910  0.4375 x1  1 I 1.91, 1 Mg 2.13
O  0.8562  0.1083  0.9409 x1  1 I 1.91, 1 Mg 2.13
O  0.8590  0.3914  0.4387 x1  1 I 1.91, 1 Mg 2.12
O  0.8912  0.9419  0.1428 x1  1 I 1.91, 1 Mg 2.12
O  0.8918  0.5601  0.6409 x1  1 I 1.91, 1 Mg 2.12
O  0.9389  0.8580  0.8920 x1  1 I 1.91, 1 Mg 2.12
O  0.9421  0.6447  0.3902 x1  1 I 1.91

[3]
A geometry-optimized Cr3Cu2NiSe8 structure, computed with PBE-GGA.

Values from the calculation:
E_form = -48.3 kJ per mole of atoms
E (MP2020) = -5.57 eV per atom

Cell: 7.2895 7.2895 17.9497 Å, 90.00 90.00 120.00°
Closest atoms and distances in Å follow each position.
Space group R-3m (No. 166, hexagonal axes)
Symmetry-distinct sites (fractional):
Cr  0.0000  0.5000  0.0000 x9  6 Se 2.50
Cu  0.0000  0.0000  0.1250 x6  4 Se 2.38-2.39
Ni  0.0000  0.0000  0.5000 x3  6 Se 2.49
Se  0.0000  0.0000  0.2579 x6  1 Cu 2.39, 3 Cr 2.50
Se  0.0229  0.5115  0.2522 x18  1 Cu 2.38, 1 Ni 2.49, 2 Cr 2.50

[4]
A geometry-optimized CaAg2Ge2 structure, computed with PBE-GGA.

Values from the calculation:
E_form = -29.1 kJ per mole of atoms

Cell: 4.3772 4.3772 11.0051 Å, 90.00 90.00 90.00°
Closest atoms and distances in Å follow each position.
Space group I4/mmm (No. 139)
Symmetry-distinct sites (fractional):
Ca  0.0000  0.0000  0.0000 x2  8 Ge 3.33, 8 Ag 3.52
Ag  0.0000  0.5000  0.2500 x4  4 Ge 2.67
Ge  0.0000  0.0000  0.3895 x4  1 Ge 2.43, 4 Ag 2.67

[5]
A geometry-optimized Tb3Mg structure, computed with PBE-GGA.

Values from the calculation:
E_form = -2.1 kJ per mole of atoms

Cell: 3.6221 3.6221 9.1040 Å, 90.00 90.00 90.00°
Closest atoms and distances in Å follow each position.
Space group P4/mmm (No. 123)
Symmetry-distinct sites (fractional):
Tb  0.0000  0.0000  0.0000 x1  12 Tb 3.52-3.62
Tb  0.5000  0.5000  0.2656 x2  4 Mg 3.33, 8 Tb 3.52-3.62
Mg  0.0000  0.0000  0.5000 x1  8 Tb 3.33, 4 Mg 3.62

[6]
A geometry-optimized PuPaO4 structure, computed with PBE-GGA.

Values from the calculation:
E_form = -383.9 kJ per mole of atoms
E (MP2020) = -11.24 eV per atom

Cell: 3.8407 3.8407 5.4840 Å, 90.00 90.00 90.00°
Closest atoms and distances in Å follow each position.
Space group P4/mmm (No. 123)
Symmetry-distinct sites (fractional):
Pu  0.0000  0.0000  0.0000 x1  8 O 2.40
Pa  0.5000  0.5000  0.5000 x1  8 O 2.32
O  0.0000  0.5000  0.2618 x4  2 Pa 2.32, 2 Pu 2.40

[7]
A geometry-optimized P4Pb3O13 structure, computed with PBE-GGA.

Values from the calculation:
E_form = -236.0 kJ per mole of atoms
E (MP2020) = -7.30 eV per atom

Cell: 7.5023 8.0410 10.3998 Å, 102.68 104.27 94.51°
Closest atoms and distances in Å follow each position.
Space group P-1 (No. 2)
Symmetry-distinct sites (fractional):
P  0.1356  0.4640  0.3366 x2  4 O 1.50-1.61
P  0.1853  0.1909  0.9657 x2  4 O 1.51-1.65
P  0.3310  0.8043  0.5067 x2  4 O 1.52-1.65
P  0.3570  0.5370  0.1374 x2  4 O 1.51-1.60
Pb  0.2056  0.2255  0.6172 x2  4 O 2.44-2.67
Pb  0.2459  0.9772  0.2264 x2  6 O 2.50-2.80
Pb  0.3159  0.7612  0.8464 x2  4 O 2.42-2.61
O  0.0046  0.1837  0.0058 x2  1 P 1.51
O  0.0661  0.5060  0.6874 x2  1 P 1.52
O  0.1554  0.8916  0.4696 x2  1 P 1.55
O  0.1607  0.1215  0.8115 x2  1 P 1.54
O  0.1765  0.2866  0.3458 x2  1 P 1.50
O  0.1988  0.5279  0.2158 x2  2 P 1.60-1.61
O  0.2595  0.5957  0.4735 x2  2 P 1.59-1.65
O  0.2710  0.3959  0.9961 x2  2 P 1.60-1.65
O  0.3395  0.1114  0.0529 x2  1 P 1.56
O  0.3685  0.7096  0.1031 x2  1 P 1.51
O  0.4226  0.8489  0.6620 x2  1 P 1.54
O  0.4601  0.8234  0.4169 x2  1 P 1.52
O  0.4642  0.5111  0.7837 x2  1 P 1.52

[8]
A geometry-optimized TiInPS2O12 structure, computed with PBE-GGA.

Values from the calculation:
E_form = -225.1 kJ per mole of atoms
E (MP2020) = -7.26 eV per atom

Cell: 15.2137 8.7665 22.6107 Å, 90.00 90.45 90.00°
Closest atoms and distances in Å follow each position.
Space group Cc (No. 9)
Symmetry-distinct sites (fractional):
Ti  0.0000  0.0012  0.0000 x4  5 O 1.88-2.08
Ti  0.1667  0.4936  0.1664 x4  5 O 1.91-2.09
Ti  0.3297  0.0189  0.8333 x4  3 O 1.82-1.98
In  0.0026  0.0022  0.7879 x4  6 O 2.05-2.16
In  0.1702  0.4954  0.9542 x4  6 O 2.02-2.17
In  0.3307  0.0018  0.1210 x4  6 O 2.04-2.17
P  0.1626  0.2125  0.0594 x4  4 O 1.51-1.58
P  0.1915  0.1546  0.7258 x4  4 O 1.51-1.60
P  0.3616  0.3568  0.8926 x4  4 O 1.51-1.60
S  0.0262  0.3491  0.5595 x4  4 O 1.46-1.51
S  0.1490  0.1380  0.3940 x4  4 O 1.46-1.51
S  0.3154  0.3617  0.5599 x4  4 O 1.46-1.51
S  0.3309  0.2884  0.2262 x4  4 O 1.46-1.51
S  0.4811  0.1367  0.7261 x4  4 O 1.46-1.51
S  0.4944  0.2075  0.3930 x4  4 O 1.47-1.50
O  0.0156  0.2031  0.8400 x4  1 S 1.47
O  0.0214  0.1788  0.5513 x4  1 S 1.51
O  0.0618  0.4170  0.5057 x4  1 S 1.46
O  0.0666  0.4012  0.9016 x4  1 S 1.47
O  0.0684  0.4427  0.2185 x4  1 S 1.51
O  0.0760  0.1167  0.0481 x4  1 P 1.58
O  0.0838  0.3773  0.6122 x4  1 S 1.49
O  0.0964  0.1220  0.3397 x4  1 S 1.47
O  0.0998  0.0961  0.7372 x4  1 P 1.51
O  0.1071  0.0650  0.4461 x4  1 S 1.49
O  0.1489  0.3213  0.1143 x4  1 P 1.58
O  0.1639  0.3010  0.4028 x4  1 S 1.46
O  0.1796  0.3050  0.0044 x4  1 P 1.51
O  0.1877  0.3304  0.7140 x4  1 P 1.56
O  0.2298  0.0777  0.6723 x4  1 P 1.51
O  0.2365  0.0615  0.3850 x4  1 S 1.51
O  0.2382  0.1025  0.0682 x4  1 P 1.51
O  0.2476  0.3798  0.2164 x4  1 S 1.51
O  0.2538  0.1218  0.7817 x4  1 P 1.60
O  0.2614  0.3737  0.5062 x4  1 S 1.46
O  0.2690  0.4129  0.9009 x4  1 P 1.51
O  0.2728  0.4329  0.6119 x4  1 S 1.48
O  0.3167  0.1897  0.2781 x4  1 S 1.47
O  0.3359  0.2002  0.5684 x4  1 S 1.46
O  0.3498  0.2024  0.1722 x4  1 S 1.47
O  0.3568  0.1763  0.8828 x4  1 P 1.60
O  0.3993  0.4224  0.8364 x4  1 P 1.51
O  0.4014  0.4435  0.5507 x4  1 S 1.51
O  0.4029  0.3975  0.2336 x4  1 S 1.46
O  0.4112  0.1215  0.3835 x4  1 S 1.49
O  0.4228  0.3874  0.9471 x4  1 P 1.56
O  0.4294  0.1160  0.6718 x4  1 S 1.46
O  0.4374  0.0913  0.0683 x4  1 S 1.46
O  0.4383  0.0664  0.7784 x4  1 S 1.49
O  0.4832  0.3098  0.4455 x4  1 S 1.50
O  0.4976  0.3000  0.7335 x4  1 S 1.46

[9]
A geometry-optimized Ti2CoNi structure, computed with PBE-GGA.

Values from the calculation:
E_form = -35.4 kJ per mole of atoms

Cell: 2.9894 2.9894 5.9810 Å, 90.00 90.00 90.00°
Closest atoms and distances in Å follow each position.
Space group P4/mmm (No. 123)
Symmetry-distinct sites (fractional):
Ti  0.0000  0.0000  0.2482 x2  4 Co 2.58, 4 Ni 2.60
Co  0.5000  0.5000  0.0000 x1  8 Ti 2.58
Ni  0.5000  0.5000  0.5000 x1  8 Ti 2.60

[10]
A geometry-optimized Tm2CoOs structure, computed with PBE-GGA.

Values from the calculation:
E_form = -21.3 kJ per mole of atoms

Cell: 6.6786 6.6786 6.6786 Å, 90.00 90.00 90.00°
Closest atoms and distances in Å follow each position.
Space group Fm-3m (No. 225)
Symmetry-distinct sites (fractional):
Tm  0.2500  0.2500  0.2500 x8  4 Co 2.89, 4 Os 2.89
Co  0.0000  0.0000  0.0000 x4  8 Tm 2.89
Os  0.0000  0.0000  0.5000 x4  8 Tm 2.89

[11]
A geometry-optimized NiS2 structure, computed with PBE-GGA.

Values from the calculation:
E_form = -55.1 kJ per mole of atoms
E (MP2020) = -5.26 eV per atom

Cell: 4.5862 5.6090 3.5292 Å, 90.00 90.00 90.00°
Closest atoms and distances in Å follow each position.
Space group Pnnm (No. 58)
Symmetry-distinct sites (fractional):
Ni  0.0000  0.0000  0.0000 x2  6 S 2.34-2.37
S  0.1835  0.3892  0.0000 x4  1 S 2.09, 1 Ni 2.34

[12]
A geometry-optimized PtS2Cl8 structure, computed with PBE-GGA.

Values from the calculation:
E_form = -73.1 kJ per mole of atoms
E (MP2020) = -3.41 eV per atom

Cell: 6.7649 7.4916 13.0442 Å, 90.00 100.47 90.00°
Closest atoms and distances in Å follow each position.
Space group P2_1/c (No. 14)
Symmetry-distinct sites (fractional):
Pt  0.0000  0.0000  0.0000 x2  4 Cl 2.35, 2 S 2.38
S  0.2811  0.1951  0.0186 x4  2 Cl 2.02
Cl  0.1567  0.5969  0.3630 x4  1 Pt 2.35
Cl  0.2125  0.1061  0.4135 x4  1 S 2.02
Cl  0.2445  0.6535  0.6188 x4  1 Pt 2.35
Cl  0.2953  0.1728  0.6545 x4  1 S 2.02